(1)
Zr2N2O: relaxed, PBE.

Lattice parameters (Å, degrees): 8.855 8.889 8.878 109.42 109.42 109.54
Fractional positions:
N  0.773  0.728  0.238
N  0.729  0.241  0.774
N  0.967  0.958  0.731
N  0.991  0.532  0.259
N  0.739  0.012  0.467
N  0.487  0.228  0.457
N  0.231  0.457  0.490
N  0.955  0.728  0.969
N  0.761  0.229  0.273
N  0.778  0.549  0.516
N  0.274  0.031  0.043
N  0.258  0.981  0.531
N  0.464  0.735  0.008
N  0.727  0.965  0.950
N  0.452  0.488  0.225
N  0.230  0.275  0.762
Zr  0.252  0.533  0.292
Zr  0.537  0.287  0.258
Zr  0.218  0.759  0.970
Zr  0.717  0.748  0.459
Zr  0.743  0.962  0.211
Zr  0.756  0.468  0.716
Zr  0.283  0.249  0.535
Zr  0.031  0.779  0.252
Zr  0.508  0.019  0.510
Zr  0.998  0.987  0.990
Zr  0.959  0.204  0.740
Zr  0.785  0.246  0.033
Zr  0.988  0.490  0.482
Zr  0.496  0.506  0.011
Zr  0.466  0.716  0.757
Zr  0.244  0.040  0.780
O  0.507  0.772  0.542
O  0.547  0.514  0.772
O  0.536  0.263  0.988
O  0.276  0.760  0.226
O  0.035  0.049  0.274
O  0.014  0.469  0.740
O  0.047  0.273  0.037
O  0.241  0.771  0.730

Values from the calculation:
* symmetry: P1 (1)
* formation energy from the elements: -2191 meV/atom


(2)
CaMn10N8: relaxed, PBE.

Lattice parameters (Å, degrees): 8.411 3.826 7.560 90.00 61.86 76.85
Fractional positions:
Mn  0.634  0.183  0.799
Mn  0.078  0.961  0.788
Mn  0.599  0.201  0.182
Mn  0.171  0.414  0.002
Mn  0.401  0.799  0.818
Mn  0.359  0.320  0.559
Mn  0.829  0.586  0.998
Mn  0.641  0.680  0.441
Mn  0.922  0.039  0.212
Mn  0.366  0.817  0.201
N  0.196  0.902  0.090
N  0.907  0.547  0.229
N  0.661  0.669  0.701
N  0.804  0.098  0.910
N  0.641  0.179  0.399
N  0.093  0.453  0.771
N  0.339  0.331  0.299
N  0.359  0.821  0.601
Ca  0.000  0.500  0.500

Values from the calculation:
* symmetry: C2/m (12)
* formation energy from the elements: -414 meV/atom


(3)
TaCr4Si: relaxed, PBE.

Lattice parameters (Å, degrees): 4.868 4.868 7.641 90.00 90.00 120.00
Fractional positions:
Cr  0.172  0.344  0.738
Cr  0.000  0.000  0.500
Cr  0.828  0.656  0.262
Cr  0.344  0.172  0.262
Cr  0.000  0.000  0.000
Cr  0.656  0.828  0.738
Cr  0.172  0.828  0.738
Cr  0.828  0.172  0.262
Si  0.667  0.333  0.568
Si  0.333  0.667  0.432
Ta  0.333  0.667  0.066
Ta  0.667  0.333  0.934

Values from the calculation:
* symmetry: P-3m1 (164)
* formation energy from the elements: 22 meV/atom


(4)
MgB6H28C4O2: relaxed, PBE.

Lattice parameters (Å, degrees): 7.349 14.626 16.675 90.00 90.00 90.00
Fractional positions:
B  0.413  0.342  0.064
B  0.587  0.842  0.064
B  0.413  0.158  0.564
B  0.062  0.438  0.773
B  0.472  0.624  0.474
B  0.719  0.895  0.747
B  0.086  0.322  0.740
B  0.281  0.395  0.747
B  0.322  0.312  0.968
B  0.719  0.605  0.247
B  0.086  0.178  0.240
B  0.678  0.688  0.468
B  0.322  0.188  0.468
B  0.528  0.124  0.474
B  0.938  0.938  0.773
B  0.472  0.876  0.974
B  0.281  0.105  0.247
B  0.914  0.678  0.240
B  0.528  0.376  0.974
B  0.062  0.062  0.273
B  0.914  0.822  0.740
B  0.587  0.658  0.564
B  0.678  0.812  0.968
B  0.938  0.562  0.273
H  0.743  0.708  0.536
H  0.998  0.501  0.572
H  0.084  0.526  0.473
H  0.814  0.344  0.339
H  0.257  0.292  0.036
H  0.916  0.474  0.973
H  0.391  0.877  0.495
H  0.412  0.057  0.742
H  0.389  0.384  0.802
H  0.609  0.377  0.495
H  0.910  0.910  0.511
H  0.985  0.500  0.231
H  0.090  0.090  0.011
H  0.327  0.017  0.837
H  0.812  0.648  0.442
H  0.277  0.313  0.722
H  0.655  0.164  0.445
H  0.481  0.956  0.952
H  0.611  0.884  0.802
H  0.336  0.137  0.817
H  0.655  0.762  0.437
H  0.037  0.047  0.345
H  0.389  0.116  0.302
H  0.985  0.000  0.731
H  0.335  0.400  0.102
H  0.395  0.714  0.817
H  0.576  0.393  0.045
H  0.937  0.380  0.765
H  0.707  0.361  0.243
H  0.611  0.616  0.302
H  0.822  0.172  0.026
H  0.516  0.719  0.601
H  0.588  0.557  0.742
H  0.346  0.063  0.191
H  0.519  0.044  0.452
H  0.720  0.418  0.584
H  0.280  0.582  0.084
H  0.345  0.238  0.937
H  0.345  0.262  0.437
H  0.937  0.120  0.265
H  0.424  0.893  0.045
H  0.188  0.148  0.442
H  0.293  0.861  0.243
H  0.998  0.999  0.072
H  0.910  0.590  0.011
H  0.280  0.918  0.584
H  0.346  0.437  0.691
H  0.327  0.483  0.337
H  0.188  0.352  0.942
H  0.605  0.214  0.817
H  0.063  0.880  0.765
H  0.412  0.443  0.242
H  0.391  0.623  0.995
H  0.424  0.607  0.545
H  0.673  0.517  0.837
H  0.929  0.738  0.290
H  0.186  0.656  0.839
H  0.655  0.336  0.945
H  0.707  0.139  0.743
H  0.028  0.196  0.174
H  0.720  0.082  0.084
H  0.293  0.639  0.743
H  0.655  0.738  0.937
H  0.015  0.000  0.231
H  0.916  0.026  0.473
H  0.484  0.281  0.101
H  0.277  0.187  0.222
H  0.335  0.100  0.602
H  0.972  0.804  0.674
H  0.516  0.781  0.101
H  0.257  0.208  0.536
H  0.963  0.953  0.845
H  0.972  0.696  0.174
H  0.576  0.107  0.545
H  0.743  0.792  0.036
H  0.178  0.828  0.526
H  0.090  0.410  0.511
H  0.812  0.852  0.942
H  0.084  0.974  0.973
H  0.654  0.563  0.191
H  0.609  0.123  0.995
H  0.664  0.637  0.817
H  0.037  0.453  0.845
H  0.002  0.001  0.572
H  0.605  0.286  0.317
H  0.519  0.456  0.952
H  0.186  0.844  0.339
H  0.673  0.983  0.337
H  0.723  0.813  0.722
H  0.588  0.943  0.242
H  0.178  0.672  0.026
H  0.654  0.937  0.691
H  0.665  0.600  0.602
H  0.395  0.786  0.317
H  0.814  0.156  0.839
H  0.071  0.262  0.790
H  0.723  0.687  0.222
H  0.071  0.238  0.290
H  0.002  0.499  0.072
H  0.822  0.328  0.526
H  0.929  0.762  0.790
H  0.336  0.363  0.317
H  0.963  0.547  0.345
H  0.664  0.863  0.317
H  0.481  0.544  0.452
H  0.345  0.836  0.945
H  0.665  0.900  0.102
H  0.345  0.664  0.445
H  0.028  0.304  0.674
H  0.015  0.500  0.731
H  0.484  0.219  0.601
H  0.063  0.620  0.265
C  0.684  0.151  0.807
C  0.316  0.849  0.307
C  0.014  0.025  0.010
C  0.403  0.071  0.807
C  0.986  0.975  0.510
C  0.597  0.929  0.307
C  0.260  0.609  0.023
C  0.597  0.571  0.807
C  0.740  0.391  0.523
C  0.316  0.651  0.807
C  0.986  0.525  0.010
C  0.684  0.349  0.307
C  0.014  0.475  0.510
C  0.740  0.109  0.023
C  0.403  0.429  0.307
C  0.260  0.891  0.523
Mg  0.711  0.962  0.889
Mg  0.711  0.538  0.389
Mg  0.289  0.038  0.389
Mg  0.289  0.462  0.889
O  0.164  0.958  0.476
O  0.417  0.575  0.841
O  0.583  0.425  0.341
O  0.836  0.458  0.476
O  0.164  0.542  0.976
O  0.417  0.925  0.341
O  0.583  0.075  0.841
O  0.836  0.042  0.976

Values from the calculation:
* symmetry: Pca2_1 (29)
* formation energy from the elements: -252 meV/atom


> Which of these has the lowest formation energy from the elements?

Zr2N2O